The following is a GGA-PBE calculation of an optimized crystal structure of Tb2Ni2Sn, from Materials Project.

a b c (Å): 7.2658 7.2658 3.7244
angles (deg): 90.00 90.00 90.00
With the nearest neighbours (Å) after each atom.
Fractional positions:
Ni 0.1200 0.6200 0.0000  1 Ni 2.47
Ni 0.3800 0.1200 0.0000  1 Ni 2.47
Tb 0.6757 0.1757 0.5000  6 Ni 2.81-2.87
Sn 0.0000 0.0000 0.0000  4 Ni 2.90
Tb 0.1757 0.3243 0.5000  6 Ni 2.81-2.87
Sn 0.5000 0.5000 0.0000  4 Ni 2.90
Ni 0.6200 0.8800 0.0000  1 Ni 2.47
Ni 0.8800 0.3800 0.0000  1 Ni 2.47
Tb 0.3243 0.8243 0.5000  6 Ni 2.81-2.87
Tb 0.8243 0.6757 0.5000  6 Ni 2.81-2.87

## Properties
As for the crystal system: tetragonal. Its space-group type is P4/mbm (127).

The following is a GGA-PBE calculation of an optimized crystal structure of Tb9Ni24Sn49, from Materials Project.

a b c (Å): 10.3335 10.3335 17.0376
angles (deg): 89.87 89.87 70.51
With the nearest neighbours (Å) after each atom.
Fractional positions:
Tb 0.2494 0.7503 0.2500  6 Ni 3.27-3.32, 12 Sn 3.30-3.63
Tb 0.0000 0.5000 0.0000  6 Ni 3.28-3.30, 12 Sn 3.30-3.66
Ni 0.3210 0.0000 0.1603  6 Sn 2.54-2.71
Ni 0.4984 0.8216 0.6607  6 Sn 2.53-2.69
Sn 0.6815 0.1875 0.9351  3 Ni 2.54-2.61
Ni 0.4012 0.7586 0.9203  6 Sn 2.55-2.68
Sn 0.1824 0.4444 0.8121  3 Ni 2.57-2.71
Sn 0.5556 0.8176 0.1879  3 Ni 2.57-2.71
Sn 0.8125 0.3185 0.0649  3 Ni 2.54-2.61
Ni 0.7412 0.0969 0.5802  6 Sn 2.53-2.68
Sn 0.0016 0.0016 0.6298  3 Ni 2.59-2.68
Sn 0.0033 0.7413 0.1281  3 Ni 2.55-2.59
Sn 0.3179 0.8089 0.5635  3 Ni 2.53-2.63
Sn 0.5049 0.2508 0.6227  3 Ni 2.53-2.62
Ni 0.9031 0.2588 0.4198  6 Sn 2.53-2.68
Sn 0.1911 0.6821 0.4365  3 Ni 2.53-2.63
Tb 0.0000 0.5000 0.5000  6 Ni 3.28-3.30, 12 Sn 3.33-3.63
Ni 0.0000 0.3210 0.1603  6 Sn 2.54-2.71
Sn 0.9382 0.9382 0.8074  3 Ni 2.53-2.60
Sn 0.9439 0.6834 0.3146  3 Ni 2.56-2.69
Ni 0.5803 0.5803 0.2590  6 Sn 2.53-2.67
Ni 0.7599 0.7599 0.0795  6 Sn 2.53-2.71
Ni 0.2592 0.2592 0.5793  6 Sn 2.53-2.68
Sn 0.4406 0.4406 0.3134  3 Ni 2.53-2.61
Tb 0.7503 0.2494 0.2500  6 Ni 3.27-3.32, 12 Sn 3.30-3.63
Ni 0.5016 0.1784 0.3393  6 Sn 2.53-2.69
Sn 0.4991 0.4991 0.8692  3 Ni 2.57-2.68
Ni 0.2401 0.2401 0.9205  6 Sn 2.53-2.71
Ni 0.0969 0.7412 0.5802  6 Sn 2.53-2.68
Sn 0.4439 0.1883 0.1853  3 Ni 2.58-2.69
Sn 0.2508 0.5049 0.6227  3 Ni 2.53-2.62
Ni 0.5988 0.2414 0.0797  6 Sn 2.55-2.68
Sn 0.3126 0.0576 0.3159  3 Ni 2.56-2.71
Sn 0.1925 0.1925 0.0614  3 Ni 2.53-2.61
Ni 0.4197 0.4197 0.7410  6 Sn 2.53-2.67
Sn 0.6282 0.6282 0.0023  3 Ni 2.59-2.68
Sn 0.7492 0.4951 0.3773  3 Ni 2.53-2.62
Ni 0.2414 0.5988 0.0797  6 Sn 2.55-2.68
Sn 0.9967 0.2587 0.8719  3 Ni 2.55-2.59
Sn 0.4951 0.7492 0.3773  3 Ni 2.53-2.62
Sn 0.3155 0.3155 0.4416  3 Ni 2.53-2.63
Ni 0.7586 0.4012 0.9203  6 Sn 2.55-2.68
Sn 0.4444 0.1824 0.8121  3 Ni 2.57-2.71
Ni 0.7408 0.7408 0.4207  6 Sn 2.53-2.68
Sn 0.7413 0.0033 0.1281  3 Ni 2.55-2.59
Sn 0.8176 0.5556 0.1879  3 Ni 2.57-2.71
Sn 0.9424 0.6874 0.6841  3 Ni 2.56-2.71
Sn 0.3718 0.3718 0.9977  3 Ni 2.59-2.68
Ni 0.2588 0.9031 0.4198  6 Sn 2.53-2.68
Sn 0.8075 0.8075 0.9386  3 Ni 2.53-2.61
Sn 0.5009 0.5009 0.1308  3 Ni 2.57-2.68
Ni 0.8216 0.4984 0.6607  6 Sn 2.53-2.69
Sn 0.1883 0.4439 0.1853  3 Ni 2.58-2.69
Sn 0.3185 0.8125 0.0649  3 Ni 2.54-2.61
Sn 0.2587 0.9967 0.8719  3 Ni 2.55-2.59
Sn 0.5561 0.8117 0.8147  3 Ni 2.58-2.69
Tb 0.0000 0.0000 0.0000  12 Sn 3.40-3.45
Sn 0.8117 0.5561 0.8147  3 Ni 2.58-2.69
Sn 0.0561 0.3166 0.6854  3 Ni 2.56-2.69
Sn 0.6845 0.6845 0.5584  3 Ni 2.53-2.63
Sn 0.8706 0.8706 0.4982  3 Ni 2.56-2.67
Sn 0.0576 0.3126 0.3159  3 Ni 2.56-2.71
Tb 0.5000 0.0000 0.5000  6 Ni 3.28-3.30, 12 Sn 3.33-3.63
Tb 0.2497 0.7506 0.7500  6 Ni 3.27-3.32, 12 Sn 3.30-3.63
Sn 0.9984 0.9984 0.3702  3 Ni 2.59-2.68
Tb 0.5000 0.0000 0.0000  6 Ni 3.28-3.30, 12 Sn 3.30-3.66
Sn 0.5000 0.5000 0.5000  12 Sn 3.27-3.34
Sn 0.1294 0.1294 0.5018  3 Ni 2.56-2.67
Sn 0.0618 0.0618 0.1926  3 Ni 2.53-2.60
Sn 0.1875 0.6815 0.9351  3 Ni 2.54-2.61
Ni 0.0000 0.6790 0.8397  6 Sn 2.54-2.71
Sn 0.6821 0.1911 0.4365  3 Ni 2.53-2.63
Sn 0.8089 0.3179 0.5635  3 Ni 2.53-2.63
Ni 0.6790 0.0000 0.8397  6 Sn 2.54-2.71
Sn 0.5594 0.5594 0.6866  3 Ni 2.53-2.61
Ni 0.9195 0.9195 0.2398  6 Sn 2.53-2.69
Sn 0.6834 0.9439 0.3146  3 Ni 2.56-2.69
Tb 0.7506 0.2497 0.7500  6 Ni 3.27-3.32, 12 Sn 3.30-3.63
Ni 0.1784 0.5016 0.3393  6 Sn 2.53-2.69
Sn 0.6874 0.9424 0.6841  3 Ni 2.56-2.71
Ni 0.0805 0.0805 0.7602  6 Sn 2.53-2.69
Sn 0.3166 0.0561 0.6854  3 Ni 2.56-2.69

## Properties
Its magnetic moment is 0.02 μB per cell. As for the crystal system: monoclinic. Its space-group type is C2/m (12).

Calculated values (eV/atom) of raw total energy for the records, taken in order: -5.5506, -4.9316.
Calculated values (eV per atom) of ΔE_f for the records, taken in order: -0.58, -0.34.